Entry 1:
DFT (PBE+U) results for crystalline Li2V3P5O18 at its relaxed geometry.

a = 13.2109 Å, b = 13.2109 Å, c = 12.6862 Å
α = 92.06°, β = 92.06°, γ = 21.24°
Last column: nearest neighbours and their distance in Å.
Element x y z (fractional)
Li  0.0229  0.3092  0.3671  3 O 2.03-2.10
Li  0.3092  0.0229  0.8671  3 O 2.03-2.10
Li  0.6908  0.9771  0.1329  3 O 2.03-2.10
Li  0.9771  0.6908  0.6329  3 O 2.03-2.10
V  0.0000  0.0000  0.0000  6 O 1.96-2.12
V  0.0000  0.0000  0.5000  6 O 1.96-2.12
V  0.2607  0.3453  0.3787  5 O 1.91-2.12
V  0.3453  0.2607  0.8787  5 O 1.91-2.12
V  0.6547  0.7393  0.1213  5 O 1.91-2.12
V  0.7393  0.6547  0.6213  5 O 1.91-2.12
P  0.2038  0.3418  0.1272  4 O 1.54-1.56
P  0.2307  0.7693  0.2500  4 O 1.52-1.61
P  0.3418  0.2038  0.6272  4 O 1.54-1.56
P  0.4272  0.4365  0.4047  4 O 1.51-1.63
P  0.4365  0.4272  0.9047  4 O 1.51-1.63
P  0.5635  0.5728  0.0953  4 O 1.51-1.63
P  0.5728  0.5635  0.5953  4 O 1.51-1.63
P  0.6582  0.7962  0.3728  4 O 1.54-1.56
P  0.7693  0.2307  0.7500  4 O 1.52-1.61
P  0.7962  0.6582  0.8728  4 O 1.54-1.56
O  0.0524  0.9013  0.1562  1 P 1.52
O  0.0987  0.9476  0.3438  1 P 1.52
O  0.1172  0.3388  0.8772  1 P 1.56
O  0.1394  0.7356  0.9298  1 P 1.51
O  0.1806  0.2528  0.6257  1 P 1.54
O  0.2515  0.3565  0.5365  1 P 1.55
O  0.2528  0.1806  0.1257  1 P 1.54
O  0.2644  0.8606  0.5702  1 P 1.51
O  0.2649  0.3440  0.7253  1 P 1.56
O  0.2800  0.4716  0.3831  1 P 1.54
O  0.2833  0.6287  0.4933  1 P 1.51
O  0.3388  0.1172  0.3772  1 P 1.56
O  0.3440  0.2649  0.2253  1 P 1.56
O  0.3565  0.2515  0.0365  1 P 1.55
O  0.3713  0.7167  0.0067  1 P 1.51
O  0.3977  0.5170  0.2915  2 P 1.61-1.63
O  0.4716  0.2800  0.8831  1 P 1.54
O  0.4830  0.6023  0.2085  2 P 1.61-1.63
O  0.5170  0.3977  0.7915  2 P 1.61-1.63
O  0.5284  0.7200  0.1169  1 P 1.54
O  0.6023  0.4830  0.7085  2 P 1.61-1.63
O  0.6287  0.2833  0.9933  1 P 1.51
O  0.6435  0.7485  0.9635  1 P 1.55
O  0.6560  0.7351  0.7747  1 P 1.56
O  0.6612  0.8828  0.6228  1 P 1.56
O  0.7167  0.3713  0.5067  1 P 1.51
O  0.7200  0.5284  0.6169  1 P 1.54
O  0.7351  0.6560  0.2747  1 P 1.56
O  0.7356  0.1394  0.4298  1 P 1.51
O  0.7472  0.8194  0.8743  1 P 1.54
O  0.7485  0.6435  0.4635  1 P 1.55
O  0.8194  0.7472  0.3743  1 P 1.54
O  0.8606  0.2644  0.0702  1 P 1.51
O  0.8828  0.6612  0.1228  1 P 1.56
O  0.9013  0.0524  0.6562  1 P 1.52
O  0.9476  0.0987  0.8438  1 P 1.52

Values from the calculation:
E (MP2020) (eV/cell): -442.06
E (eV per atom): -7.270
Symmetry: No. 15

***

Entry 2:
DFT (PBE+U) results for crystalline Mg3Fe2H4Se6O20 at its relaxed geometry.

a = 6.5725 Å, b = 8.0851 Å, c = 9.0573 Å
α = 85.71°, β = 78.93°, γ = 76.39°
Last column: nearest neighbours and their distance in Å.
Element x y z (fractional)
Mg  0.0000  0.0000  0.0000  6 O 2.03-2.16
Mg  0.1871  0.3242  0.7350  6 O 2.07-2.21
Mg  0.8129  0.6758  0.2650  6 O 2.07-2.21
Fe  0.3653  0.6031  0.8822  6 O 1.97-2.09
Fe  0.6347  0.3969  0.1178  6 O 1.97-2.09
H  0.1840  0.5323  0.4636  1 O 0.98
H  0.3518  0.3579  0.4434  1 O 0.99
H  0.6482  0.6421  0.5566  1 O 0.99
H  0.8160  0.4677  0.5364  1 O 0.98
Se  0.1667  0.2911  0.1285  3 O 1.71-1.78
Se  0.2636  0.9229  0.6344  3 O 1.69-1.77
Se  0.3001  0.7825  0.2234  3 O 1.70-1.79
Se  0.6999  0.2175  0.7766  3 O 1.70-1.79
Se  0.7364  0.0771  0.3656  3 O 1.69-1.77
Se  0.8333  0.7089  0.8715  3 O 1.71-1.78
O  0.0442  0.9435  0.7794  1 Se 1.74
O  0.0839  0.5671  0.8386  1 Se 1.76
O  0.1062  0.6850  0.3118  1 Se 1.70, 1 H 1.84
O  0.1657  0.2036  0.9624  1 Se 1.71
O  0.2396  0.4261  0.5173  2 H 0.98-0.99
O  0.2694  0.7965  0.0309  1 Se 1.79
O  0.3300  0.4399  0.0705  1 Se 1.78
O  0.3646  0.0921  0.6535  1 Se 1.69
O  0.4431  0.7517  0.7075  1 Se 1.77, 1 H 1.84, 1 Fe 1.97
O  0.4739  0.3817  0.7689  1 Se 1.75
O  0.5261  0.6183  0.2311  1 Se 1.75
O  0.5569  0.2483  0.2925  1 Se 1.77, 1 H 1.84, 1 Fe 1.97
O  0.6354  0.9079  0.3465  1 Se 1.69
O  0.6700  0.5601  0.9295  1 Se 1.78
O  0.7306  0.2035  0.9691  1 Se 1.79
O  0.7604  0.5739  0.4827  2 H 0.98-0.99
O  0.8343  0.7964  0.0376  1 Se 1.71
O  0.8938  0.3150  0.6882  1 Se 1.70, 1 H 1.84
O  0.9161  0.4329  0.1614  1 Se 1.76
O  0.9558  0.0565  0.2206  1 Se 1.74

Values from the calculation:
E (MP2020) (eV/cell): -214.07
E (eV per atom): -5.595
Symmetry: No. 2

***

Entry 3:
DFT (PBE+U) results for crystalline Li10Mn3Cr5O16 at its relaxed geometry.

a = 5.9974 Å, b = 6.0375 Å, c = 9.8696 Å
α = 88.86°, β = 89.70°, γ = 60.43°
Last column: nearest neighbours and their distance in Å.
Element x y z (fractional)
Li  0.0000  0.0000  0.0000  3 O 1.99-2.22, 1 Li 2.18
Li  0.0021  0.4181  0.0064  3 O 1.94-2.04, 1 Li 2.10
Li  0.1371  0.1545  0.7857  6 O 2.11-2.27
Li  0.2107  0.6265  0.5102  3 O 1.96-1.99, 1 Li 2.17
Li  0.4119  0.0156  0.0020  3 O 1.95-2.06, 1 Li 2.18
Li  0.4624  0.4916  0.2853  5 O 2.10-2.24
Li  0.6034  0.2148  0.5048  3 O 1.96-2.12
Li  0.6155  0.6220  0.5030  3 O 1.94-2.07, 1 Li 2.11
Li  0.8076  0.7952  0.0733  4 O 1.87-1.90
Li  0.8114  0.8093  0.5699  4 O 1.88-1.92, 1 Li 2.11
Mn  0.4656  0.9810  0.2713  4 O 1.98-2.05
Mn  0.6434  0.1432  0.7718  6 O 2.14-2.22
Mn  0.9699  0.9789  0.2731  6 O 2.13-2.23
Cr  0.1458  0.1418  0.5311  6 O 2.05-2.19
Cr  0.1486  0.6393  0.7733  6 O 2.02-2.09
Cr  0.4728  0.4669  0.0296  6 O 2.05-2.11
Cr  0.6413  0.6402  0.7735  6 O 2.03-2.10
Cr  0.9748  0.4693  0.2741  6 O 2.03-2.09
O  0.1428  0.6284  0.1487  1 Li 1.90, 2 Cr 2.09
O  0.1517  0.1479  0.1581  2 Mn 1.98-2.13, 2 Li 2.04-2.06, 1 Cr 2.06
O  0.2828  0.3230  0.4036  3 Li 1.97-2.14, 2 Cr 2.05-2.07
O  0.3046  0.3323  0.8996  3 Li 1.94-2.13, 2 Cr 2.02-2.05
O  0.3051  0.8423  0.4012  2 Li 1.94-1.96, 2 Mn 2.00-2.16, 1 Cr 2.05
O  0.3218  0.7849  0.8956  3 Li 2.01-2.20, 3 Cr 2.06-2.11
O  0.4698  0.4939  0.6567  3 Li 1.97-2.12, 2 Cr 2.03-2.04, 1 Mn 2.14
O  0.4790  0.9664  0.6467  1 Li 1.90, 2 Cr 2.07-2.10
O  0.6286  0.1301  0.1418  1 Li 1.90, 1 Mn 2.05, 1 Cr 2.07
O  0.6504  0.6178  0.1510  2 Li 1.89-2.10, 2 Cr 2.08-2.10
O  0.7868  0.3291  0.9018  3 Li 1.94-2.16, 2 Cr 2.05-2.07, 1 Mn 2.16
O  0.7880  0.8016  0.3788  1 Li 1.90, 1 Mn 1.99, 1 Cr 2.05
O  0.8202  0.7898  0.8841  1 Li 1.87, 2 Cr 2.04
O  0.8282  0.3100  0.4048  2 Li 1.95-1.96, 2 Cr 2.03-2.07
O  0.9745  0.4800  0.6576  2 Li 1.92-2.11, 2 Cr 2.09
O  0.9918  0.9600  0.6444  1 Li 1.88, 2 Cr 2.06-2.09

Values from the calculation:
E (MP2020) (eV/cell): -248.29
E (eV per atom): -6.538
Symmetry: No. 1

***

Entry 4:
DFT (PBE+U) results for crystalline Li3Cr2P3O12 at its relaxed geometry.

a = 8.5885 Å, b = 8.5885 Å, c = 8.5529 Å
α = 118.72°, β = 118.72°, γ = 61.32°
Last column: nearest neighbours and their distance in Å.
Element x y z (fractional)
Li  0.0000  0.0000  0.0000  6 O 2.11-2.35
Li  0.1000  0.4940  0.0962  2 O 2.11-2.12
Li  0.3524  0.1457  0.2776  3 O 2.02-2.19
Li  0.5060  0.9000  0.9038  2 O 2.11-2.12
Li  0.6958  0.3042  0.5000  4 O 2.12-2.37
Li  0.8543  0.6476  0.7224  3 O 2.02-2.19
Cr  0.2109  0.0057  0.3921  6 O 1.96-2.03
Cr  0.4951  0.2959  0.1054  6 O 1.97-2.04
Cr  0.7041  0.5049  0.8946  6 O 1.97-2.04
Cr  0.9943  0.7891  0.6079  6 O 1.96-2.03
P  0.0990  0.1875  0.7915  4 O 1.51-1.57
P  0.3051  0.6949  0.0000  4 O 1.53-1.56
P  0.3895  0.6105  0.5000  4 O 1.51-1.58
P  0.6003  0.1023  0.7023  4 O 1.54-1.56
P  0.8125  0.9010  0.2085  4 O 1.51-1.57
P  0.8977  0.3997  0.2977  4 O 1.54-1.56
O  0.0565  0.0273  0.7801  1 P 1.53
O  0.0802  0.2267  0.2956  1 P 1.56
O  0.1107  0.7183  0.8419  1 P 1.56
O  0.1364  0.1516  0.6196  1 P 1.51
O  0.2261  0.6363  0.5442  1 P 1.51
O  0.2635  0.2168  0.9828  1 P 1.57
O  0.2817  0.8893  0.1581  1 P 1.56
O  0.3338  0.5355  0.0557  1 P 1.53
O  0.3637  0.7739  0.4558  1 P 1.51
O  0.4156  0.4161  0.3373  1 P 1.58
O  0.4414  0.0807  0.5118  1 P 1.54
O  0.4645  0.6662  0.9443  1 P 1.53
O  0.5437  0.1346  0.8644  1 P 1.54
O  0.5839  0.5844  0.6627  1 P 1.58
O  0.6189  0.0632  0.1847  1 P 1.57
O  0.6534  0.2650  0.7316  1 P 1.54
O  0.7350  0.3466  0.2684  1 P 1.54
O  0.7733  0.9198  0.7044  1 P 1.56
O  0.7832  0.7365  0.0172  1 P 1.57
O  0.8484  0.8636  0.3804  1 P 1.51
O  0.8654  0.4563  0.1356  1 P 1.54
O  0.9193  0.5586  0.4882  1 P 1.54
O  0.9368  0.3811  0.8153  1 P 1.57
O  0.9727  0.9435  0.2199  1 P 1.53

Values from the calculation:
E (MP2020) (eV/cell): -306.32
E (eV per atom): -7.046
Symmetry: No. 5

***

Repeat the second record exactly.
DFT (PBE+U) results for crystalline Mg3Fe2H4Se6O20 at its relaxed geometry.

a = 6.5725 Å, b = 8.0851 Å, c = 9.0573 Å
α = 85.71°, β = 78.93°, γ = 76.39°
Last column: nearest neighbours and their distance in Å.
Element x y z (fractional)
Mg  0.0000  0.0000  0.0000  6 O 2.03-2.16
Mg  0.1871  0.3242  0.7350  6 O 2.07-2.21
Mg  0.8129  0.6758  0.2650  6 O 2.07-2.21
Fe  0.3653  0.6031  0.8822  6 O 1.97-2.09
Fe  0.6347  0.3969  0.1178  6 O 1.97-2.09
H  0.1840  0.5323  0.4636  1 O 0.98
H  0.3518  0.3579  0.4434  1 O 0.99
H  0.6482  0.6421  0.5566  1 O 0.99
H  0.8160  0.4677  0.5364  1 O 0.98
Se  0.1667  0.2911  0.1285  3 O 1.71-1.78
Se  0.2636  0.9229  0.6344  3 O 1.69-1.77
Se  0.3001  0.7825  0.2234  3 O 1.70-1.79
Se  0.6999  0.2175  0.7766  3 O 1.70-1.79
Se  0.7364  0.0771  0.3656  3 O 1.69-1.77
Se  0.8333  0.7089  0.8715  3 O 1.71-1.78
O  0.0442  0.9435  0.7794  1 Se 1.74
O  0.0839  0.5671  0.8386  1 Se 1.76
O  0.1062  0.6850  0.3118  1 Se 1.70, 1 H 1.84
O  0.1657  0.2036  0.9624  1 Se 1.71
O  0.2396  0.4261  0.5173  2 H 0.98-0.99
O  0.2694  0.7965  0.0309  1 Se 1.79
O  0.3300  0.4399  0.0705  1 Se 1.78
O  0.3646  0.0921  0.6535  1 Se 1.69
O  0.4431  0.7517  0.7075  1 Se 1.77, 1 H 1.84, 1 Fe 1.97
O  0.4739  0.3817  0.7689  1 Se 1.75
O  0.5261  0.6183  0.2311  1 Se 1.75
O  0.5569  0.2483  0.2925  1 Se 1.77, 1 H 1.84, 1 Fe 1.97
O  0.6354  0.9079  0.3465  1 Se 1.69
O  0.6700  0.5601  0.9295  1 Se 1.78
O  0.7306  0.2035  0.9691  1 Se 1.79
O  0.7604  0.5739  0.4827  2 H 0.98-0.99
O  0.8343  0.7964  0.0376  1 Se 1.71
O  0.8938  0.3150  0.6882  1 Se 1.70, 1 H 1.84
O  0.9161  0.4329  0.1614  1 Se 1.76
O  0.9558  0.0565  0.2206  1 Se 1.74

Values from the calculation:
E (MP2020) (eV/cell): -214.07
E (eV per atom): -5.595
Symmetry: No. 2